Compound: RbCoO2
Source: the Materials Project
Functional: PBE with a Hubbard U
Structure: optimized geometry

Geometry as POSCAR:
```
RbCoO2
1.0
-2.593 -3.312 4.073
-3.833 -7.124 -8.233
13.751 -9.030 1.412
Rb Co O
16 16 32
Cartesian
4.746 -13.804 -2.256
2.070 -14.579 -4.371
8.463 -16.271 -5.884
5.255 -4.886 1.623
9.523 -10.049 0.362
-2.964 -6.642 -1.122
3.429 -8.333 -2.635
2.579 -5.662 -0.492
7.832 -13.323 -4.109
3.896 -11.133 -0.113
0.888 -8.936 -4.962
-2.198 -9.417 -3.110
10.289 -12.824 -1.626
-1.138 -3.195 3.136
-0.507 -6.143 1.361
6.437 -10.530 2.215
9.903 -12.790 2.580
5.553 -16.815 -4.125
6.775 -10.647 -1.939
0.041 -5.977 -3.030
1.772 -2.651 1.377
0.551 -8.819 -0.808
6.071 -7.766 0.017
5.044 -13.973 -6.347
-2.578 -6.676 -5.328
2.947 -8.423 1.703
1.254 -11.700 -2.765
2.282 -5.493 3.599
-0.885 -3.400 -0.860
7.285 -13.489 0.282
8.210 -16.066 -1.887
4.378 -11.043 -4.450
-0.050 -12.873 -3.637
-1.037 -6.844 -4.395
0.705 -7.259 -1.970
8.362 -12.622 1.647
0.711 -3.498 -0.013
5.388 -6.664 -1.418
2.527 -11.433 -4.050
5.120 -10.587 -2.695
2.119 -6.930 2.301
-2.376 -4.073 -0.046
9.701 -15.393 -2.702
8.088 -15.043 -0.221
5.206 -12.536 -5.049
2.206 -8.879 -0.052
4.799 -8.033 1.302
-0.762 -4.422 -2.527
-2.093 -11.106 -5.430
12.562 -10.624 -0.070
6.620 -12.207 -0.777
1.937 -12.802 -1.330
7.687 -9.730 4.674
7.375 -6.593 0.889
-3.017 -8.417 -6.111
-0.361 -9.736 -7.421
6.953 -9.190 -0.667
9.418 -8.360 2.682
-5.237 -8.842 -2.678
-1.026 -8.630 0.022
6.614 -15.968 -2.735
8.351 -10.836 -2.769
10.343 -11.049 3.363
0.372 -10.276 -2.081
```

Compound: Rb5Co2O4
Source: the Materials Project
Functional: PBE with a Hubbard U
Structure: optimized geometry

Geometry as POSCAR:
```
Rb5Co2O4
1.0
7.075 0.000 0.081
2.964 7.722 4.420
0.009 0.032 9.717
Rb Co O
10 4 8
Cartesian
8.868 6.460 11.310
1.179 1.293 2.908
7.668 3.400 9.560
2.379 4.353 4.658
5.319 0.385 0.513
4.728 7.368 13.705
3.755 2.763 7.778
6.292 4.990 6.440
4.891 1.292 4.510
5.156 6.461 9.708
6.040 4.492 2.898
4.007 3.262 11.320
9.317 6.122 7.684
0.730 1.632 6.534
7.060 5.682 3.745
2.987 2.072 10.473
2.240 1.621 5.591
7.807 6.132 8.627
4.166 4.972 12.102
5.881 2.782 2.117
6.339 1.586 7.627
3.708 6.168 6.591
```

Properties
excess energy over the best structure of this formula in the dataset: 0 meV per atom

Compound: Rb3CoO2
Source: the Materials Project
Functional: PBE with a Hubbard U
Structure: optimized geometry

Geometry as POSCAR:
```
Rb3CoO2
1.0
6.289 0.000 0.000
0.000 7.826 0.000
0.000 0.000 12.438
Rb Co O
12 4 8
Cartesian
4.884 5.869 11.188
1.740 1.956 7.470
1.405 1.956 1.250
4.549 5.869 4.969
2.002 3.920 10.726
5.146 3.906 7.931
4.287 0.007 1.712
1.143 7.819 4.507
4.287 3.906 1.712
1.143 3.920 4.507
2.002 7.819 10.726
5.146 0.007 7.931
1.926 5.869 7.698
1.218 5.869 1.479
5.070 1.956 10.959
4.363 1.956 4.740
3.694 1.956 12.074
0.550 5.869 6.583
2.594 5.869 0.364
5.739 1.956 5.855
0.100 1.956 9.773
3.044 1.956 3.554
3.245 5.869 8.884
6.189 5.869 2.665
```

Compound: Rb2Co2O3
Source: the Materials Project
Functional: PBE with a Hubbard U
Structure: optimized geometry

Geometry as POSCAR:
```
Rb2Co2O3
1.0
6.182 0.000 0.000
0.000 7.917 0.000
0.000 0.000 12.038
Rb Co O
8 8 12
Cartesian
1.545 0.043 4.567
4.636 7.875 7.471
4.636 4.001 1.452
1.545 3.916 10.587
1.545 6.932 0.699
4.636 0.985 11.339
4.636 2.973 5.320
1.545 4.944 6.718
1.545 4.669 3.190
4.636 3.248 8.848
4.636 0.710 2.829
1.545 7.207 9.209
1.545 2.178 1.826
4.636 5.739 10.212
4.636 6.137 4.193
1.545 1.780 7.845
1.545 4.079 1.450
4.636 3.838 10.588
4.636 0.121 4.569
1.545 7.797 7.469
6.133 1.269 1.811
3.043 6.648 10.227
0.048 5.228 4.208
3.139 2.690 7.830
0.048 6.648 10.227
3.139 1.269 1.811
6.133 2.690 7.830
3.043 5.228 4.208
```

Compound: CoRe2O12
Source: the Materials Project
Functional: PBE with a Hubbard U
Structure: optimized geometry

Geometry as POSCAR:
```
CoRe2O12
1.0
-4.434 -2.003 4.369
3.329 -1.657 6.030
-0.654 4.775 5.295
Co Re O
1 2 12
Cartesian
-2.217 -1.001 2.184
-2.224 0.487 11.850
0.466 0.628 3.844
1.067 1.406 8.220
-2.825 -0.291 7.475
-1.965 2.435 8.211
0.206 -1.320 7.483
-3.059 1.878 11.201
1.300 -0.763 4.494
-0.992 0.923 13.127
-0.766 0.192 2.568
0.923 2.082 11.802
-2.682 -0.967 3.892
-1.462 -0.347 10.531
-0.297 1.462 5.163
```

Compound: Co7Re17O48
Source: the Materials Project
Functional: PBE with a Hubbard U
Structure: optimized geometry

Geometry as POSCAR:
```
Co7Re17O48
1.0
5.769 0.000 0.000
2.867 6.737 0.000
2.880 0.069 20.511
Co Re O
7 17 48
Cartesian
2.799 0.008 0.055
4.366 0.110 3.276
7.206 3.451 13.679
1.441 0.086 10.103
7.250 3.325 6.965
10.053 3.472 20.505
4.326 3.341 13.673
2.881 6.734 0.007
4.320 3.443 6.738
4.295 6.728 3.417
7.187 3.418 20.500
5.629 0.030 6.796
2.703 3.399 3.409
7.220 6.706 10.332
5.603 6.772 13.702
5.648 3.401 10.262
5.939 3.424 3.419
7.303 6.744 17.123
5.920 6.743 6.803
7.039 0.094 17.213
8.771 3.355 17.101
3.040 3.385 10.271
8.793 6.770 13.668
5.563 3.484 17.103
5.714 5.376 3.403
8.541 2.019 20.489
8.451 4.779 20.479
4.324 3.391 4.718
7.246 6.723 1.281
1.458 0.040 5.467
4.328 3.363 2.079
1.297 0.009 1.462
5.603 1.464 10.240
8.736 4.838 6.772
3.079 1.946 6.821
2.747 1.454 3.376
2.977 2.054 0.019
5.950 1.493 3.431
5.849 4.855 20.493
7.220 3.359 11.531
1.457 0.073 8.037
7.196 6.765 12.361
7.233 3.353 9.015
7.217 6.677 8.358
7.226 3.404 4.946
7.197 3.450 1.904
5.650 5.483 17.118
5.732 4.913 13.702
5.816 1.901 13.718
8.610 5.330 10.308
5.757 4.782 6.783
3.062 1.442 10.246
2.970 5.316 3.428
5.636 1.983 6.823
4.283 3.421 18.603
7.226 6.742 15.048
7.196 0.075 19.136
4.287 3.402 15.591
10.035 6.785 15.221
4.348 3.376 11.757
4.330 3.475 8.715
4.344 0.035 5.287
8.678 1.353 17.092
8.671 4.903 13.676
5.669 1.555 17.139
5.780 5.366 10.288
2.845 1.893 13.734
7.170 3.401 18.438
7.170 3.443 15.906
7.223 0.074 12.182
8.672 5.283 17.156
7.049 6.800 19.026
```

Compound: CoReO4
Source: the Materials Project
Functional: PBE with a Hubbard U
Structure: optimized geometry

Geometry as POSCAR:
```
CoReO4
1.0
3.173 -3.327 0.000
3.173 3.327 0.000
0.000 0.000 2.869
Co Re O
1 1 4
Cartesian
0.000 0.000 0.000
3.173 0.000 1.434
3.173 -1.398 0.000
1.284 0.000 1.434
3.173 1.398 0.000
5.063 0.000 1.434
```

Compound: Sr4Co3ReO12
Source: the Materials Project
Functional: PBE with a Hubbard U
Structure: optimized geometry

Geometry as POSCAR:
```
Sr4Co3ReO12
1.0
-3.792 3.535 2.077
-2.719 -0.051 -4.878
-4.331 -6.102 2.479
Sr Co Re O
4 3 1 12
Cartesian
-5.033 -2.652 2.834
-2.554 -1.708 -1.755
-3.090 0.085 1.722
-4.497 -4.445 -0.644
0.000 0.000 0.000
-5.421 -1.309 -0.161
-2.166 -3.051 1.239
-3.256 1.742 -1.400
-3.310 -4.663 1.894
-4.294 0.279 -0.806
-7.077 -0.423 -0.873
-1.698 0.909 -0.730
-5.694 -0.398 1.607
-2.999 0.884 -3.064
-1.022 -1.439 0.585
-6.549 -2.898 0.484
-3.766 -2.195 0.551
-4.813 2.575 -2.070
-5.149 -2.221 -1.929
-3.512 2.600 0.263
```

DFT total energy readings, ordered: -5.071 -4.275 -4.018 -5.002 -6.532 -8.128 -7.503 -6.630 eV per atom
ΔH_f (0 K) readings, ordered: -5.3 -14.1 -7.2 -9.3 -16.5 -130.8 -10.1 -45.9 eV per formula unit